Record 1
A relaxed structure of MnAl2P2H20O16. Source: Materials Project, functional PBE with a Hubbard U.

Results
The energy relative to the lowest polymorph listed for this composition is 0.00 kJ per mole of atoms. Its calculated total energy is -5.570 eV/atom. Its formation energy is -1.6224 eV per atom.

a b c (Å): 7.0843 10.3998 10.6660
angles (deg): 108.21 90.16 109.87
With the nearest neighbours (Å) after each atom.
Positions (direct):
Al1 0.7401 0.7503 0.0020  6 O 1.91-1.95
H1 0.1071 0.6420 0.3351  1 H 0.75
H2 0.4271 0.3346 0.2812  1 O 0.99
H3 0.1675 0.6246 0.8423  1 O 0.98
H4 0.0769 0.7606 0.0566  1 O 0.98
H5 0.0956 0.0294 0.6290  1 O 1.00
H6 0.1512 0.8912 0.3504  1 H 0.75
H7 0.1076 0.8117 0.3416  1 H 0.75
H8 0.9231 0.2394 0.9434  1 O 0.98
O1 0.9139 0.9410 0.1201  1 P 1.56, 1 H 1.60
P1 0.1367 0.0458 0.1743  4 O 1.55-1.56
O2 0.1785 0.1907 0.1476  1 P 1.55
O3 0.6307 0.7005 0.1536  1 H 1.56, 1 P 1.57
Mn1 0.6281 0.7781 0.5107  6 O 2.10-2.29
H9 0.7869 0.0462 0.1554  1 O 1.02
O4 0.4848 0.6534 0.6411  2 H 0.99
O5 0.3003 0.8926 0.8396  2 H 0.98-1.02
H10 0.6416 0.0302 0.4107  1 O 1.01
H11 0.5729 0.6654 0.7188  1 O 0.99
H12 0.1497 0.6153 0.3822  1 H 0.75
H13 0.3151 0.5482 0.8687  1 O 1.01
P2 0.8633 0.9542 0.8257  4 O 1.55-1.56
O6 0.8215 0.8093 0.8524  1 P 1.55
H14 0.4014 0.5495 0.6028  1 O 0.99
O7 0.2367 0.0888 0.6228  2 H 1.00-1.03
O8 0.8021 0.6229 0.4610  2 H 0.98
Mn2 0.3719 0.2219 0.4893  6 O 2.10-2.29
Al2 0.0000 0.5000 0.0000  6 O 1.91-2.03
O9 0.7555 0.3954 0.8788  1 P 1.56
H15 0.6498 0.1244 0.2477  1 O 0.98
H16 0.8779 0.6140 0.3842  1 O 0.98
Al3 0.5000 0.0000 0.0000  6 O 1.88-1.97
H17 0.9044 0.9706 0.3710  1 O 1.00
O10 0.5522 0.3727 0.6675  1 P 1.53
Al4 0.2599 0.2497 0.9980  6 O 1.91-1.95
H18 0.8503 0.3847 0.6178  1 H 0.75
H19 0.2131 0.9538 0.8446  1 O 1.02
H20 0.5733 0.2155 0.9437  1 O 0.98
H21 0.8488 0.1088 0.6496  1 H 0.75
O11 0.1979 0.3771 0.5390  2 H 0.98
O12 0.8475 0.9205 0.6726  1 P 1.55
O13 0.4752 0.1737 0.9975  1 H 0.98
H22 0.5986 0.4505 0.3972  1 O 0.99
H23 0.8945 0.6391 0.5378  1 O 0.98
H24 0.0026 0.3901 0.3288  1 H 0.76
O14 0.8327 0.4661 0.1483  2 H 0.98-1.01
O15 0.7172 0.0307 0.8913  1 P 1.55
O16 0.5248 0.8263 0.0025  1 H 0.98
O17 0.4478 0.6273 0.3325  1 P 1.53
O18 0.2445 0.6046 0.1212  1 P 1.56
O19 0.1525 0.0795 0.3274  1 P 1.55
H25 0.2843 0.1669 0.7151  1 O 1.03
H26 0.3584 0.9698 0.5893  1 O 1.01
H27 0.8924 0.1883 0.6584  1 H 0.75
H28 0.9794 0.6766 0.7149  1 H 0.76
H29 0.0207 0.3234 0.2851  1 H 0.76
O20 0.7633 0.9112 0.3772  2 H 1.00-1.03
H30 0.7157 0.8331 0.2849  1 O 1.03
H31 0.9974 0.6099 0.6712  1 H 0.76
O21 0.4377 0.4345 0.1157  1 P 1.56, 1 H 1.70
O22 0.3693 0.2995 0.8464  1 H 1.56, 1 P 1.57
H32 0.4267 0.7845 0.0563  1 O 0.98
O23 0.5152 0.3466 0.3589  2 H 0.99
O24 0.0861 0.0590 0.8799  1 P 1.56, 1 H 1.60
O25 0.5623 0.5655 0.8843  1 P 1.56, 1 H 1.70
H33 0.7178 0.1848 0.5154  1 O 0.98
O26 0.3836 0.8758 0.5620  2 H 0.98-1.01
H34 0.8929 0.3580 0.6649  1 H 0.75
P3 0.4342 0.5907 0.1811  4 O 1.53-1.57
O27 0.0455 0.3249 0.9844  1 H 0.98
H35 0.3502 0.8756 0.7523  1 O 0.98
H36 0.6849 0.4518 0.1313  1 O 1.01
O28 0.6997 0.1074 0.1604  2 H 0.98-1.02
P4 0.5658 0.4093 0.8189  4 O 1.53-1.57
O29 0.9545 0.6751 0.0156  1 H 0.98
O30 0.6164 0.1242 0.4380  2 H 0.98-1.01
H37 0.1055 0.3609 0.4622  1 O 0.98
O31 0.1673 0.5339 0.8517  2 H 0.98-1.01
H38 0.1221 0.3860 0.6158  1 O 0.98
O32 0.2828 0.9693 0.1087  1 P 1.55
H39 0.2822 0.8152 0.4846  1 O 0.98
H40 0.8325 0.3754 0.1577  1 O 0.98



Record 2
A relaxed structure of MnAl2P2H18O18. Source: Materials Project, functional PBE with a Hubbard U.

Results
Its calculated total energy is -5.830 eV/atom. Its formation energy is -1.8400 eV per atom.

a b c (Å): 7.0735 10.2552 10.6073
angles (deg): 107.90 90.15 110.00
With the nearest neighbours (Å) after each atom.
Positions (direct):
O1 0.7284 0.5394 0.9052  1 P 1.55
H1 0.1008 0.8734 0.4670  1 O 1.00
O2 0.4718 0.6736 0.9970  1 H 0.98
O3 0.3083 0.3866 0.8334  2 H 0.99-1.00
O4 0.1476 0.0155 0.8482  2 H 0.99-1.00
H2 0.5817 0.7271 0.9557  1 O 0.98
P1 0.8654 0.4611 0.8277  4 O 1.55-1.56
O5 0.5282 0.3264 0.0030  1 H 0.98
H3 0.5980 0.5333 0.3997  1 O 0.98
Al1 0.0000 0.0000 0.0000  6 O 1.92-1.94
O6 0.5663 0.0659 0.8831  1 P 1.56
Al2 0.2591 0.7484 0.9963  6 O 1.91-1.96
H4 0.1464 0.3851 0.3299  1 O 1.00
H5 0.5577 0.1492 0.7163  1 O 0.98
H6 0.2922 0.3299 0.4759  1 O 1.01
H7 0.9383 0.1833 0.4050  1 O 1.00
H8 0.6522 0.6517 0.2557  1 O 0.99
H9 0.0617 0.8167 0.5950  1 O 1.00
O7 0.1672 0.5605 0.3235  1 P 1.56
O8 0.8309 0.1356 0.4546  2 H 1.00
O9 0.1747 0.6899 0.1523  1 P 1.56
O10 0.2716 0.4606 0.0948  1 P 1.55
H10 0.2229 0.4455 0.8287  1 O 1.00
O11 0.0544 0.9074 0.3244  2 H 0.99-1.00
O12 0.7504 0.8860 0.8811  1 P 1.57
O13 0.6123 0.6363 0.4397  2 H 0.98-1.01
H11 0.4020 0.4667 0.6003  1 O 0.98
H12 0.0803 0.2587 0.0220  1 O 0.98
H13 0.0734 0.8215 0.2580  1 O 0.99
H14 0.7771 0.5545 0.1713  1 O 1.00
O14 0.6917 0.6134 0.1666  2 H 0.99-1.00
H15 0.3651 0.0496 0.6085  1 O 0.99
O15 0.4778 0.1460 0.6391  2 H 0.98-0.99
O16 0.0477 0.8250 0.9927  1 H 0.98
H16 0.1724 0.2309 0.2601  1 O 0.99
H17 0.7078 0.6701 0.5241  1 O 1.01
O17 0.8253 0.3101 0.8477  1 P 1.56
O18 0.2288 0.5933 0.6136  2 H 0.98-1.02
P2 0.1346 0.5389 0.1723  4 O 1.55-1.56
Al3 0.7409 0.2516 0.0037  6 O 1.91-1.96
H18 0.8130 0.0102 0.6649  1 O 1.00
O19 0.2496 0.1140 0.1189  1 P 1.57
O20 0.3877 0.3637 0.5603  2 H 0.98-1.01
O21 0.0914 0.5601 0.8762  1 P 1.55, 1 H 1.70
Mn1 0.6303 0.2695 0.5105  6 O 2.14-2.26
Mn2 0.3697 0.7305 0.4895  6 O 2.14-2.26
H19 0.8276 0.7691 0.7399  1 O 0.99
Al4 0.5000 0.5000 0.0000  6 O 1.87-1.99
O22 0.9086 0.4399 0.1238  1 P 1.55, 1 H 1.70
P3 0.4333 0.0922 0.1815  4 O 1.54-1.57
H20 0.1042 0.0563 0.7841  1 O 1.00
O23 0.1691 0.8644 0.5454  2 H 1.00
O24 0.6346 0.2008 0.1581  1 P 1.55, 1 H 1.58
H21 0.4423 0.8508 0.2837  1 O 0.98
H22 0.8992 0.1266 0.5330  1 O 1.00
O25 0.3654 0.7992 0.8419  1 P 1.55, 1 H 1.58
H23 0.7295 0.3335 0.2923  1 O 1.02
O26 0.8328 0.4395 0.6765  1 P 1.56
O27 0.4337 0.9341 0.1169  1 P 1.56
H24 0.9266 0.1785 0.7420  1 O 0.99
O28 0.9456 0.0926 0.6756  2 H 0.99-1.00
O29 0.4232 0.1242 0.3323  1 P 1.54
H25 0.8536 0.6149 0.6701  1 O 1.00
O30 0.9523 0.1750 0.0073  1 H 0.98
H26 0.2954 0.0358 0.8551  1 O 0.99
P4 0.5667 0.9078 0.8185  4 O 1.54-1.57
O31 0.5222 0.8540 0.3609  2 H 0.98-0.99
O32 0.5768 0.8758 0.6677  1 P 1.54
O33 0.8606 0.7084 0.6566  2 H 0.99-1.00
H27 0.9197 0.7413 0.9780  1 O 0.98
H28 0.7046 0.9642 0.1449  1 O 0.99
H29 0.0881 0.5302 0.6140  1 O 0.98
H30 0.2705 0.6665 0.7077  1 O 1.02
H31 0.6349 0.9504 0.3915  1 O 0.99
O34 0.7712 0.4067 0.3864  2 H 0.98-1.02
O35 0.8524 0.9845 0.1518  2 H 0.99-1.00
H32 0.3478 0.3483 0.7443  1 O 0.99
H33 0.8958 0.9437 0.2159  1 O 1.00
H34 0.9119 0.4698 0.3860  1 O 0.98
H35 0.1870 0.9898 0.3351  1 O 1.00
O36 0.1394 0.2916 0.3434  2 H 0.99-1.00
H36 0.4183 0.2729 0.0443  1 O 0.98



Record 3
A relaxed structure of KMgAlMo2O8. Source: Materials Project, functional PBE with a Hubbard U.

Results
Its calculated total energy is -6.416 eV/atom. Its formation energy is -2.1209 eV per atom.

a b c (Å): 5.5512 5.5512 6.9058
angles (deg): 90.00 90.00 120.00
With the nearest neighbours (Å) after each atom.
Positions (direct):
Al1 0.0000 0.0000 0.0154  3 O 1.81
O1 0.3308 0.1654 0.8338  1 Mo 1.80
O2 0.8346 0.1654 0.8338  1 Mo 1.80
O3 0.8346 0.6692 0.8338  1 Mo 1.80
K1 0.0000 0.0000 0.4985  6 O 2.79-2.81
O4 0.1573 0.3145 0.1590  1 Al 1.81, 1 Mo 1.95
O5 0.6855 0.8427 0.1590  1 Al 1.81, 1 Mo 1.95
O6 0.3333 0.6667 0.5619  1 Mo 1.81
Mg1 0.6667 0.3333 0.1620  1 O 1.99
Mo1 0.3333 0.6667 0.2994  4 O 1.81-1.95
O7 0.6667 0.3333 0.4505  1 Mo 1.85, 1 Mg 1.99
Mo2 0.6667 0.3333 0.7190  4 O 1.80-1.85
O8 0.1573 0.8427 0.1590  1 Al 1.81, 1 Mo 1.95



Record 4
A relaxed structure of K2AlMo3P8O28. Source: Materials Project, functional PBE with a Hubbard U.

Results
The energy relative to the lowest polymorph listed for this composition is 0.00 kJ per mole of atoms. Its calculated total energy is -7.200 eV/atom. Its formation energy is -2.6405 eV per atom.

a b c (Å): 7.6822 9.3354 9.7461
angles (deg): 62.05 76.75 99.99
With the nearest neighbours (Å) after each atom.
Positions (direct):
P1 0.7576 0.2891 0.9064  4 O 1.52-1.62
O1 0.4502 0.7525 0.1058  2 P 1.61-1.63
Mo1 0.9993 0.9993 0.0024  6 O 2.07-2.13
K1 0.0000 0.2500 0.2500  4 O 2.58-2.82
P2 0.2464 0.7132 0.0845  4 O 1.52-1.63
O2 0.2049 0.7271 0.4326  1 P 1.51
O3 0.6403 0.7017 0.8934  1 P 1.53
O4 0.1942 0.8733 0.0522  1 P 1.52
K2 0.0000 0.7500 0.7500  4 O 2.65-2.84
O5 0.8933 0.9461 0.2486  1 P 1.55
O6 0.7441 0.3302 0.0439  1 P 1.54
Mo2 0.5000 0.2500 0.2500  6 O 2.01-2.12
O7 0.5492 0.4899 0.2051  1 P 1.54
O8 0.8038 0.1257 0.9454  1 P 1.52
O9 0.3597 0.7983 0.6066  1 P 1.53
P3 0.3834 0.8200 0.4369  4 O 1.51-1.61
P4 0.6166 0.6800 0.0631  4 O 1.51-1.61
O10 0.8058 0.6267 0.4478  1 P 1.52
O11 0.5492 0.9765 0.7074  1 P 1.51
O12 0.7922 0.2681 0.5761  1 P 1.51
O13 0.4508 0.5235 0.7926  1 P 1.51
O14 0.5498 0.7475 0.3942  2 P 1.61-1.63
O15 0.1034 0.0517 0.7584  1 P 1.53
P5 0.3851 0.3340 0.9218  4 O 1.51-1.62
O16 0.2559 0.1698 0.4561  1 P 1.54
O17 0.4499 0.2466 0.6083  2 P 1.62
Al1 0.5000 0.7500 0.7500  6 O 1.89-1.99
O18 0.7951 0.7729 0.0674  1 P 1.51
P6 0.2424 0.2109 0.5936  4 O 1.52-1.62
P7 0.6149 0.1660 0.5782  4 O 1.51-1.62
O19 0.5501 0.2534 0.8917  2 P 1.62
O20 0.7280 0.8225 0.5561  1 P 1.53
Mo3 0.0007 0.5007 0.4976  6 O 2.07-2.13
P8 0.7536 0.7868 0.4155  4 O 1.52-1.63
O21 0.2720 0.6775 0.9439  1 P 1.53
O22 0.1067 0.5539 0.2514  1 P 1.55
O23 0.6514 0.1982 0.4002  1 P 1.56
O24 0.4508 0.0101 0.2949  1 P 1.54
O25 0.2078 0.2319 0.9239  1 P 1.51
O26 0.8966 0.4483 0.7416  1 P 1.53
O27 0.1962 0.3743 0.5546  1 P 1.52
O28 0.3486 0.3018 0.0998  1 P 1.56



Question: What is the formula in the fourth record?
Answer: K2AlMo3P8O28